This record from the Materials Project describes Na4Co9Mo12O48 after structural relaxation. The functional is PBE with a Hubbard U.

**Corrected total energy (MP2020 scheme)**: -7.806 eV per atom
**Formation energy from the elements**: -1.82 eV/atom

Cell lengths 5.2832, 10.9602, 17.9982 Å; angles 91.06, 90.20, 90.21 degrees
Sites, in units of the cell vectors:
O (0.4126, 0.4830, 0.4276)
O (0.5760, 0.5072, 0.5715)
O (0.6495, 0.2458, 0.3454)
O (0.1471, 0.2533, 0.1545)
O (0.9118, 0.3837, 0.4657)
O (0.8332, 0.8832, 0.6994)
O (0.3954, 0.0298, 0.4315)
O (0.0795, 0.9875, 0.9286)
O (0.9478, 0.2504, 0.9914)
O (0.5618, 0.1054, 0.8795)
O (0.6449, 0.3729, 0.2084)
O (0.5435, 0.7307, 0.4927)
O (0.5679, 0.9927, 0.5752)
O (0.1302, 0.3819, 0.7900)
O (0.3841, 0.8837, 0.7978)
O (0.5787, 0.3978, 0.8874)
O (0.0662, 0.3980, 0.6224)
O (0.1147, 0.8864, 0.5371)
O (0.8902, 0.8826, 0.2053)
O (0.9311, 0.1288, 0.4657)
O (0.9154, 0.0173, 0.0722)
O (0.0833, 0.0994, 0.6141)
O (0.5699, 0.8873, 0.9658)
O (0.6450, 0.1214, 0.2038)
O (0.4546, 0.5951, 0.1302)
O (0.3908, 0.7469, 0.6500)
O (0.4096, 0.1143, 0.0352)
O (0.3956, 0.6170, 0.2939)
O (0.9337, 0.5982, 0.3790)
O (0.1472, 0.3775, 0.2952)
O (0.0506, 0.7718, 0.0038)
O (0.6275, 0.1220, 0.7088)
O (0.9116, 0.6087, 0.2105)
O (0.4109, 0.8909, 0.2895)
O (0.4298, 0.9009, 0.1185)
O (0.0673, 0.5132, 0.9229)
O (0.1454, 0.1264, 0.2915)
O (0.3845, 0.6147, 0.8016)
O (0.6110, 0.6126, 0.9665)
O (0.4473, 0.2488, 0.5079)
O (0.6106, 0.3827, 0.7112)
O (0.1119, 0.1099, 0.7880)
O (0.8377, 0.6180, 0.7026)
O (0.4315, 0.3699, 0.0354)
O (0.8964, 0.4700, 0.0689)
O (0.0734, 0.6148, 0.5385)
O (0.9548, 0.9043, 0.3697)
O (0.8375, 0.7546, 0.8492)
Mo (0.7820, 0.4792, 0.6528)
Mo (0.2850, 0.7471, 0.5566)
Mo (0.2892, 0.0168, 0.8473)
Mo (0.2209, 0.9876, 0.3454)
Mo (0.2949, 0.4827, 0.8502)
Mo (0.7221, 0.2485, 0.4452)
Mo (0.7106, 0.9806, 0.1509)
Mo (0.7202, 0.5118, 0.1545)
Mo (0.7750, 0.7542, 0.9459)
Mo (0.2215, 0.2502, 0.0550)
Mo (0.7881, 0.0195, 0.6499)
Mo (0.2138, 0.5189, 0.3475)
Co (0.3967, 0.2494, 0.2491)
Co (0.7492, 0.5770, 0.4768)
Co (0.7555, 0.0704, 0.9717)
Co (0.2564, 0.0564, 0.5275)
Co (0.7617, 0.4459, 0.9725)
Co (0.2519, 0.4285, 0.5284)
Co (0.6077, 0.7499, 0.7502)
Co (0.8965, 0.2495, 0.2506)
Co (0.2448, 0.9319, 0.0224)
Na (0.7403, 0.7523, 0.3080)
Na (0.2391, 0.7481, 0.1905)
Na (0.2644, 0.2486, 0.6939)
Na (0.7689, 0.2517, 0.8068)

This record from the Materials Project describes KNa3W2O17 after structural relaxation. The functional is PBE with a Hubbard U.

**Corrected total energy (MP2020 scheme)**: -5.524 eV per atom
**Formation energy from the elements**: -0.52 eV/atom

Cell lengths 9.0301, 9.0301, 11.2291 Å; angles 90.00, 90.00, 120.00 degrees
Sites, in units of the cell vectors:
O (0.2416, 0.0025, 0.0995)
O (0.5476, 0.7259, 0.9084)
O (0.7609, 0.7584, 0.4005)
O (0.6273, 0.6308, 0.7500)
O (0.6667, 0.3333, 0.6212)
O (0.7259, 0.1783, 0.0916)
O (0.8217, 0.5476, 0.4084)
O (0.0025, 0.7609, 0.9005)
O (0.2391, 0.2416, 0.9005)
O (0.3333, 0.6667, 0.3788)
O (0.1783, 0.4524, 0.9084)
O (0.3333, 0.6667, 0.1212)
O (0.9965, 0.6273, 0.2500)
O (0.2391, 0.2416, 0.5995)
O (0.2741, 0.8217, 0.5916)
O (0.7584, 0.9975, 0.5995)
O (0.7609, 0.7584, 0.0995)
O (0.7584, 0.9975, 0.9005)
O (0.8217, 0.5476, 0.0916)
O (0.6667, 0.3333, 0.8788)
O (0.1783, 0.4524, 0.5916)
O (0.9975, 0.2391, 0.0995)
O (0.6308, 0.0035, 0.2500)
O (0.4524, 0.2741, 0.4084)
O (0.0025, 0.7609, 0.5995)
O (0.2741, 0.8217, 0.9084)
O (0.3727, 0.3692, 0.2500)
O (0.3692, 0.9965, 0.7500)
O (0.5476, 0.7259, 0.5916)
O (0.7259, 0.1783, 0.4084)
O (0.0035, 0.3727, 0.7500)
O (0.2416, 0.0025, 0.4005)
O (0.4524, 0.2741, 0.0916)
O (0.9975, 0.2391, 0.4005)
W (0.3333, 0.6667, 0.5403)
W (0.6667, 0.3333, 0.0403)
W (0.3333, 0.6667, 0.9597)
W (0.6667, 0.3333, 0.4597)
Na (0.5477, 0.6792, 0.2500)
Na (0.3208, 0.8685, 0.2500)
Na (0.1315, 0.4523, 0.2500)
Na (0.6792, 0.1315, 0.7500)
Na (0.8685, 0.5477, 0.7500)
Na (0.4523, 0.3208, 0.7500)
K (0.0000, 0.0000, 0.2500)
K (0.0000, 0.0000, 0.7500)

This record from the Materials Project describes Li3Mn2O5 after structural relaxation. The functional is PBE with a Hubbard U.

**Relative energy among the computed polymorphs**: 0.162 eV per atom
**Corrected total energy (MP2020 scheme)**: -6.867 eV per atom
**Formation energy from the elements**: -1.99 eV/atom

Cell lengths 3.0819, 3.0819, 24.5373 Å; angles 89.97, 89.97, 55.61 degrees
Sites, in units of the cell vectors:
Mn (0.2004, 0.2004, 0.1000)
Mn (0.7996, 0.7996, 0.9000)
Mn (0.6029, 0.6029, 0.3005)
Mn (0.3971, 0.3971, 0.6995)
Li (0.3059, 0.3059, 0.4070)
Li (0.5000, 0.5000, 0.0000)
Li (0.0000, 0.0000, 0.5000)
Li (0.1001, 0.1001, 0.7996)
Li (0.8999, 0.8999, 0.2004)
Li (0.6941, 0.6941, 0.5930)
O (0.0399, 0.0399, 0.6563)
O (0.8329, 0.8329, 0.0537)
O (0.7642, 0.7642, 0.7463)
O (0.6399, 0.6399, 0.4492)
O (0.1671, 0.1671, 0.9463)
O (0.4328, 0.4328, 0.8540)
O (0.9601, 0.9601, 0.3437)
O (0.3601, 0.3601, 0.5508)
O (0.5672, 0.5672, 0.1460)
O (0.2358, 0.2358, 0.2537)

This record from the Materials Project describes CrCuAsPb2O9 after structural relaxation. The functional is PBE with a Hubbard U.

**Corrected total energy (MP2020 scheme)**: -6.587 eV per atom
**Formation energy from the elements**: -1.56 eV/atom

Cell lengths 5.9673, 8.4855, 16.3845 Å; angles 99.46, 90.00, 90.00 degrees
Sites, in units of the cell vectors:
Pb (0.7879, 0.1709, 0.3715)
Pb (0.7210, 0.6575, 0.4336)
Pb (0.2879, 0.3291, 0.1285)
Pb (0.7121, 0.6709, 0.8715)
Pb (0.2790, 0.3425, 0.5664)
Pb (0.2210, 0.8425, 0.0664)
Pb (0.2121, 0.8291, 0.6285)
Pb (0.7790, 0.1575, 0.9336)
O (0.0100, 0.3874, 0.8562)
O (0.3211, 0.5985, 0.9550)
O (0.5192, 0.6083, 0.6003)
O (0.2545, 0.5355, 0.2862)
O (0.5100, 0.1126, 0.6438)
O (0.9808, 0.1083, 0.1003)
O (0.2455, 0.0355, 0.7862)
O (0.2712, 0.3534, 0.7203)
O (0.7455, 0.4645, 0.7138)
O (0.1949, 0.2808, 0.9845)
O (0.2855, 0.7219, 0.7796)
O (0.1789, 0.0985, 0.4550)
O (0.0192, 0.8917, 0.8997)
O (0.0007, 0.1611, 0.6388)
O (0.4993, 0.6611, 0.1388)
O (0.4808, 0.3917, 0.3997)
O (0.4856, 0.9166, 0.9062)
O (0.3051, 0.7808, 0.4845)
O (0.8051, 0.7192, 0.0155)
O (0.7288, 0.6466, 0.2797)
O (0.8211, 0.9015, 0.5450)
O (0.0144, 0.4166, 0.4062)
O (0.9900, 0.6126, 0.1438)
O (0.7712, 0.1466, 0.7797)
O (0.6949, 0.2192, 0.5155)
O (0.2288, 0.8534, 0.2203)
O (0.6789, 0.4015, 0.0450)
O (0.9993, 0.8389, 0.3612)
O (0.7145, 0.2781, 0.2204)
O (0.2145, 0.2219, 0.2796)
O (0.7545, 0.9645, 0.2138)
O (0.5144, 0.0834, 0.0938)
O (0.9856, 0.5834, 0.5938)
O (0.4900, 0.8874, 0.3562)
O (0.5007, 0.3389, 0.8612)
O (0.7855, 0.7781, 0.7204)
Cr (0.2571, 0.8922, 0.8430)
Cr (0.7571, 0.6078, 0.6570)
Cr (0.7429, 0.1078, 0.1570)
Cr (0.2429, 0.3922, 0.3430)
As (0.2433, 0.9064, 0.4157)
As (0.7567, 0.0936, 0.5843)
As (0.2567, 0.4064, 0.9157)
As (0.7433, 0.5936, 0.0843)
Cu (0.0082, 0.2641, 0.7491)
Cu (0.9918, 0.7359, 0.2509)
Cu (0.4918, 0.7641, 0.2491)
Cu (0.5082, 0.2359, 0.7509)

This record from the Materials Project describes Na3Co2SbO6 after structural relaxation. The functional is PBE with a Hubbard U.

**Relative energy among the computed polymorphs**: 0.000 eV per atom
**Corrected total energy (MP2020 scheme)**: -6.124 eV per atom
**Formation energy from the elements**: -1.79 eV/atom

Cell lengths 5.4260, 5.7233, 5.4162 Å; angles 99.53, 119.76, 99.02 degrees
Sites, in units of the cell vectors:
Co (0.6651, 0.0002, 0.3331)
Co (0.3338, 0.9999, 0.6664)
O (0.6169, 0.7947, 0.9321)
O (0.0679, 0.2056, 0.3848)
O (0.7552, 0.2041, 0.7537)
O (0.3833, 0.2047, 0.0678)
O (0.2478, 0.7975, 0.2474)
O (0.9305, 0.7934, 0.6151)
Na (0.8260, 0.4999, 0.1740)
Na (0.1731, 0.4995, 0.8268)
Na (0.5008, 0.5005, 0.4994)
Sb (0.9995, 0.9999, 0.9993)

This record from the Materials Project describes NdMoBrO4 after structural relaxation. The functional is PBE with a Hubbard U.

**Corrected total energy (MP2020 scheme)**: -7.801 eV per atom
**Formation energy from the elements**: -2.51 eV/atom

Cell lengths 7.0522, 7.5172, 11.3464 Å; angles 106.20, 106.72, 92.45 degrees
Sites, in units of the cell vectors:
Nd (0.3952, 0.6459, 0.7689)
Nd (0.6443, 0.1265, 0.7303)
Nd (0.6048, 0.3541, 0.2311)
Nd (0.3557, 0.8735, 0.2697)
Mo (0.2655, 0.1826, 0.8659)
Mo (0.7756, 0.5927, 0.6306)
Mo (0.2244, 0.4073, 0.3694)
Mo (0.7345, 0.8174, 0.1341)
O (0.6238, 0.6587, 0.1996)
O (0.3385, 0.2043, 0.3028)
O (0.0021, 0.1332, 0.7934)
O (0.9602, 0.3609, 0.3228)
O (0.6081, 0.0200, 0.1795)
O (0.6754, 0.7322, 0.9634)
O (0.0398, 0.6391, 0.6772)
O (0.3762, 0.3413, 0.8004)
O (0.3025, 0.5707, 0.2970)
O (0.6975, 0.4293, 0.7030)
O (0.9979, 0.8668, 0.2066)
O (0.6813, 0.5104, 0.4587)
O (0.3919, 0.9800, 0.8205)
O (0.3246, 0.2678, 0.0366)
O (0.6615, 0.7957, 0.6972)
O (0.3187, 0.4896, 0.5413)
Br (0.8054, 0.2878, 0.0194)
Br (0.1946, 0.7122, 0.9806)
Br (0.2571, 0.9688, 0.5182)
Br (0.7429, 0.0312, 0.4818)

This record from the Materials Project describes Li2MnC2O6 after structural relaxation. The functional is PBE with a Hubbard U.

**Relative energy among the computed polymorphs**: 0.000 eV per atom
**Corrected total energy (MP2020 scheme)**: -7.660 eV per atom
**Formation energy from the elements**: -2.10 eV/atom

Cell lengths 5.4130, 11.8438, 8.7546 Å; angles 90.00, 72.01, 90.00 degrees
Sites, in units of the cell vectors:
O (0.5288, 0.2685, 0.7077)
O (0.5292, 0.9815, 0.2078)
O (0.1568, 0.0536, 0.7508)
O (0.4819, 0.5793, 0.5484)
O (0.6569, 0.5536, 0.7509)
O (0.9072, 0.3037, 0.7492)
O (0.7369, 0.2314, 0.2921)
O (0.2371, 0.5185, 0.7922)
O (0.9076, 0.9464, 0.2492)
O (0.2369, 0.7314, 0.2921)
O (0.1567, 0.1964, 0.2508)
O (0.4071, 0.8037, 0.7493)
O (0.4076, 0.4464, 0.2492)
O (0.4819, 0.6707, 0.0483)
O (0.7370, 0.0186, 0.7921)
O (0.0292, 0.4815, 0.2079)
O (0.5298, 0.3292, 0.9517)
O (0.6567, 0.6964, 0.2509)
O (0.5304, 0.9207, 0.4516)
O (0.9820, 0.0793, 0.5483)
O (0.0304, 0.4207, 0.4517)
O (0.0287, 0.7686, 0.7078)
O (0.0298, 0.8292, 0.9517)
O (0.9819, 0.1707, 0.0483)
C (0.1540, 0.4500, 0.3057)
C (0.4595, 0.7000, 0.1943)
C (0.4597, 0.5500, 0.6944)
C (0.6535, 0.3000, 0.8056)
C (0.1534, 0.8000, 0.8057)
C (0.6540, 0.9500, 0.3056)
C (0.9596, 0.0501, 0.6943)
C (0.9596, 0.2000, 0.1943)
Li (0.4986, 0.9731, 0.6730)
Li (0.9986, 0.4731, 0.6730)
Li (0.1718, 0.0269, 0.3271)
Li (0.1714, 0.2232, 0.8270)
Li (0.6717, 0.5269, 0.3271)
Li (0.6713, 0.7232, 0.8271)
Li (0.9985, 0.7769, 0.1730)
Li (0.4985, 0.2769, 0.1730)
Mn (0.8810, 0.0001, 0.0000)
Mn (0.3809, 0.5000, 0.0001)
Mn (0.3806, 0.7500, 0.5001)
Mn (0.8809, 0.2499, 0.4999)